[1]
First-principles (PBE with a Hubbard U) data for an optimized crystal structure of Ti5Fe7O18, as listed in Materials Project.

Output
The theoretical density comes out at 4.7 g/cm3. Its total DFT energy (no corrections) is -226.32 eV for the cell shown. For the energy relative to the lowest polymorph listed for this composition, the calculation gives 312 meV/atom.

Structure (CIF):
```
data_Ti5Fe7O18
_chemical_formula_sum 'Ti5 Fe7 O18'
_symmetry_space_group_name_H-M 'P 1'
_symmetry_Int_Tables_number 1
_cell_length_a 5.1536
_cell_length_b 5.5549
_cell_length_c 11.7954
_cell_angle_alpha 97.61
_cell_angle_beta 102.58
_cell_angle_gamma 90.07
loop_
_symmetry_equiv_pos_as_xyz
'x,y,z'
loop_
_atom_site_label
_atom_site_fract_x
_atom_site_fract_y
_atom_site_fract_z
Ti1 0.0000 0.0000 0.0000
Ti2 0.0836 0.6835 0.1907
Ti3 0.3121 0.3462 0.6603
Ti4 0.6499 0.6677 0.3302
Ti5 0.8249 0.8478 0.6680
Fe1 0.1630 0.1774 0.3324
Fe2 0.2463 0.8492 0.5215
Fe3 0.4175 0.0314 0.8631
Fe4 0.4857 0.5075 0.9952
Fe5 0.5914 0.1802 0.1919
Fe6 0.7569 0.3521 0.5228
Fe7 0.9119 0.5164 0.8584
O1 0.0068 0.5050 0.6885
O2 0.0939 0.2081 0.5034
O3 0.1461 0.2448 0.9342
O4 0.1626 0.9972 0.7009
O5 0.1993 0.0260 0.1511
O6 0.2505 0.7727 0.9253
O7 0.3424 0.8193 0.3544
O8 0.4030 0.5391 0.1670
O9 0.4912 0.5827 0.6033
O10 0.5284 0.3569 0.8125
O11 0.5363 0.3364 0.3669
O12 0.6085 0.0891 0.5999
O13 0.6754 0.1498 0.0201
O14 0.7395 0.8705 0.8151
O15 0.8240 0.9138 0.2698
O16 0.8593 0.7017 0.4898
O17 0.8714 0.6688 0.0389
O18 0.9247 0.4509 0.2564
```



[2]
First-principles (PBE with a Hubbard U) data for an optimized crystal structure of Ti2FeO5, as listed in Materials Project.

Output
The theoretical density comes out at 4.0 g/cm3. Its total DFT energy (no corrections) is -269.90 eV for the cell shown. For the energy relative to the lowest polymorph listed for this composition, the calculation gives 0 meV/atom.

Structure (CIF):
```
data_Ti2FeO5
_chemical_formula_sum 'Ti8 Fe4 O20'
_symmetry_space_group_name_H-M 'C m c m'
_symmetry_Int_Tables_number 63
_symmetry_space_group_name_Hall '-C 2c 2'
_cell_length_a 3.7578
_cell_length_b 9.9227
_cell_length_c 10.2403
_cell_angle_alpha 90.00
_cell_angle_beta 90.00
_cell_angle_gamma 90.00
loop_
_atom_site_label
_atom_site_fract_x
_atom_site_fract_y
_atom_site_fract_z
Ti1 0.0000 0.1328 0.0670
Fe1 0.0000 0.1926 0.7500
O1 0.0000 0.0451 0.6116
O2 0.0000 0.2050 0.2500
O3 0.0000 0.3141 0.5588
```



[3]
First-principles (PBE with a Hubbard U) data for an optimized crystal structure of Ti12Fe5O32, as listed in Materials Project.

Output
The theoretical density comes out at 3.8 g/cm3. Its total DFT energy (no corrections) is -1212.79 eV for the cell shown.

Structure (CIF):
```
data_Ti12Fe5O32
_chemical_formula_sum 'Ti36 Fe15 O96'
_symmetry_space_group_name_H-M 'R 3'
_symmetry_Int_Tables_number 146
_symmetry_space_group_name_Hall 'R 3'
_cell_length_a 11.9485
_cell_length_b 11.9485
_cell_length_c 14.5996
_cell_angle_alpha 90.00
_cell_angle_beta 90.00
_cell_angle_gamma 120.00
loop_
_atom_site_label
_atom_site_fract_x
_atom_site_fract_y
_atom_site_fract_z
Ti1 0.0091 0.4875 0.0000
Ti2 0.0811 0.1787 0.1623
Ti3 0.0945 0.6766 0.1681
Ti4 0.1684 0.0765 0.8499
Fe1 0.0000 0.0000 0.3691
Fe2 0.0000 0.0000 0.6331
Fe3 0.0027 0.5091 0.3819
O1 0.0000 0.0000 0.2388
O2 0.0000 0.0000 0.7625
O3 0.0070 0.5157 0.7631
O4 0.0146 0.2457 0.2550
O5 0.0314 0.7641 0.2472
O6 0.0732 0.8996 0.4140
O7 0.0756 0.9204 0.9023
O8 0.0902 0.6858 0.4263
O9 0.1047 0.4313 0.4112
O10 0.1581 0.8148 0.5846
O11 0.1691 0.0860 0.1024
O12 0.1720 0.1023 0.5907
```



[4]
First-principles (PBE with a Hubbard U) data for an optimized crystal structure of TiFe3O6, as listed in Materials Project.

Output
The theoretical density comes out at 4.8 g/cm3. Its total DFT energy (no corrections) is -221.00 eV for the cell shown. For the energy relative to the lowest polymorph listed for this composition, the calculation gives 0 meV/atom.

Structure (CIF):
```
data_TiFe3O6
_chemical_formula_sum 'Ti3 Fe9 O18'
_symmetry_space_group_name_H-M 'R 3'
_symmetry_Int_Tables_number 146
_symmetry_space_group_name_Hall 'R 3'
_cell_length_a 5.1691
_cell_length_b 5.1691
_cell_length_c 13.9084
_cell_angle_alpha 90.00
_cell_angle_beta 90.00
_cell_angle_gamma 120.00
loop_
_atom_site_label
_atom_site_fract_x
_atom_site_fract_y
_atom_site_fract_z
Ti1 0.0000 0.0000 0.0000
Fe1 0.0000 0.0000 0.2066
Fe2 0.0000 0.0000 0.4976
Fe3 0.0000 0.0000 0.7066
O1 0.0077 0.3234 0.6075
O2 0.0489 0.6844 0.7697
```



Among the records above, which one has the lowest theoretical density? Ti12Fe5O32